Record 1
Below is an optimized crystal structure of Ca2Ta4P6S3O36, with properties calculated at the GGA-PBE level.

Properties
E_tot: -783.72 eV/cell
E_form: -2.787 eV per atom

a b c (Å): 8.924 8.924 22.849
angles (deg): 90.00 90.00 120.00
Fractional positions:
1 Ca 0.000 0.000 0.364
2 Ca 0.000 0.000 0.864
3 Ca 0.667 0.333 0.685
4 Ca 0.667 0.333 0.185
5 Ta 0.000 0.000 0.641
6 Ta 0.000 0.000 0.141
7 Ta 0.667 0.333 0.978
8 Ta 0.667 0.333 0.478
9 Ta 0.333 0.667 0.023
10 Ta 0.333 0.667 0.523
11 Ta 0.333 0.667 0.313
12 Ta 0.333 0.667 0.813
13 P 0.957 0.333 0.582
14 P 0.375 0.043 0.582
15 P 0.667 0.625 0.582
16 P 0.957 0.625 0.082
17 P 0.667 0.043 0.082
18 P 0.375 0.333 0.082
19 P 0.607 0.653 0.918
20 P 0.045 0.393 0.918
21 P 0.347 0.955 0.918
22 P 0.607 0.955 0.418
23 P 0.347 0.393 0.418
24 P 0.045 0.653 0.418
25 S 0.281 0.989 0.250
26 S 0.707 0.719 0.250
27 S 0.011 0.293 0.250
28 S 0.281 0.293 0.750
29 S 0.011 0.719 0.750
30 S 0.707 0.989 0.750
31 O 0.203 0.013 0.302
32 O 0.809 0.797 0.302
33 O 0.987 0.191 0.302
34 O 0.203 0.191 0.802
35 O 0.987 0.797 0.802
36 O 0.809 0.013 0.802
37 O 0.795 0.963 0.697
38 O 0.168 0.205 0.697
39 O 0.037 0.832 0.697
40 O 0.795 0.832 0.197
41 O 0.037 0.205 0.197
42 O 0.168 0.963 0.197
43 O 0.899 0.377 0.637
44 O 0.478 0.101 0.637
45 O 0.623 0.522 0.637
46 O 0.899 0.522 0.137
47 O 0.623 0.101 0.137
48 O 0.478 0.377 0.137
49 O 0.464 0.297 0.029
50 O 0.833 0.536 0.029
51 O 0.703 0.167 0.029
52 O 0.464 0.167 0.529
53 O 0.703 0.536 0.529
54 O 0.833 0.297 0.529
55 O 0.509 0.668 0.971
56 O 0.159 0.491 0.971
57 O 0.332 0.841 0.971
58 O 0.509 0.841 0.471
59 O 0.332 0.491 0.471
60 O 0.159 0.668 0.471
61 O 0.135 0.625 0.362
62 O 0.490 0.865 0.362
63 O 0.375 0.510 0.362
64 O 0.135 0.510 0.862
65 O 0.375 0.865 0.862
66 O 0.490 0.625 0.862
67 O 0.027 0.808 0.414
68 O 0.781 0.973 0.414
69 O 0.192 0.219 0.414
70 O 0.027 0.219 0.914
71 O 0.192 0.973 0.914
72 O 0.781 0.808 0.914
73 O 0.975 0.165 0.593
74 O 0.190 0.025 0.593
75 O 0.835 0.810 0.593
76 O 0.975 0.810 0.093
77 O 0.835 0.025 0.093
78 O 0.190 0.165 0.093
79 O 0.674 0.129 0.741
80 O 0.455 0.326 0.741
81 O 0.871 0.545 0.741
82 O 0.674 0.545 0.241
83 O 0.871 0.326 0.241
84 O 0.455 0.129 0.241
85 O 0.617 0.484 0.928
86 O 0.867 0.383 0.928
87 O 0.516 0.133 0.928
88 O 0.617 0.133 0.428
89 O 0.516 0.383 0.428
90 O 0.867 0.484 0.428
91 O 0.336 0.479 0.066
92 O 0.143 0.664 0.066
93 O 0.521 0.857 0.066
94 O 0.336 0.857 0.566
95 O 0.521 0.664 0.566
96 O 0.143 0.479 0.566
97 O 0.289 0.821 0.257
98 O 0.532 0.711 0.257
99 O 0.179 0.468 0.257
100 O 0.289 0.468 0.757
101 O 0.179 0.711 0.757
102 O 0.532 0.821 0.757

***

Record 2
Below is an optimized crystal structure of Ho3Mn3Ga2Ge, with properties calculated at the GGA-PBE level.

Properties
E_tot: -55.20 eV/cell
E_form: -0.365 eV per atom

a b c (Å): 6.982 6.982 4.123
angles (deg): 90.00 90.00 120.00
Fractional positions:
1 Ho 0.422 0.420 0.500
2 Ho 0.580 0.002 0.500
3 Ho 0.998 0.578 0.500
4 Mn 0.771 0.768 0.000
5 Mn 0.232 0.004 0.000
6 Mn 0.996 0.229 0.000
7 Ga 0.333 0.667 0.000
8 Ga 0.000 0.000 0.500
9 Ge 0.667 0.333 0.000

***

Record 3
Below is an optimized crystal structure of Re2P, with properties calculated at the GGA-PBE level.

Properties
E_tot: -124.71 eV/cell
E_form: -0.291 eV per atom

a b c (Å): 2.966 5.578 10.113
angles (deg): 90.00 90.00 90.00
Fractional positions:
1 Re 0.250 0.825 0.935
2 Re 0.250 0.325 0.565
3 Re 0.750 0.175 0.065
4 Re 0.750 0.675 0.435
5 Re 0.250 0.853 0.214
6 Re 0.250 0.353 0.286
7 Re 0.750 0.147 0.786
8 Re 0.750 0.647 0.714
9 P 0.250 0.402 0.898
10 P 0.250 0.902 0.602
11 P 0.750 0.598 0.102
12 P 0.750 0.098 0.398

***

Record 4
Below is an optimized crystal structure of La2PBr2, with properties calculated at the GGA-PBE level.

Properties
E_tot: -27.80 eV/cell
E_form: -2.062 eV per atom

a b c (Å): 4.267 4.267 10.217
angles (deg): 90.00 90.00 120.00
Fractional positions:
1 La 0.333 0.667 0.161
2 La 0.667 0.333 0.839
3 P 0.000 0.000 0.000
4 Br 0.667 0.333 0.344
5 Br 0.333 0.667 0.656

***

What is the E_tot in the second record?
-55.20 eV/cell

***

The highest E_tot belongs to which entry?
La2PBr2

***

What did the second record say?
Below is an optimized crystal structure of Ho3Mn3Ga2Ge, with properties calculated at the GGA-PBE level.

Properties
E_tot: -55.20 eV/cell
E_form: -0.365 eV per atom

a b c (Å): 6.982 6.982 4.123
angles (deg): 90.00 90.00 120.00
Fractional positions:
1 Ho 0.422 0.420 0.500
2 Ho 0.580 0.002 0.500
3 Ho 0.998 0.578 0.500
4 Mn 0.771 0.768 0.000
5 Mn 0.232 0.004 0.000
6 Mn 0.996 0.229 0.000
7 Ga 0.333 0.667 0.000
8 Ga 0.000 0.000 0.500
9 Ge 0.667 0.333 0.000

***

Which of these has the lowest E_form?
Ca2Ta4P6S3O36